Entry 1:
This record from the Materials Project describes a relaxed K5P2Au crystal. The functional is meta-GGA r2SCAN.

a = 5.6560 Å, b = 5.6560 Å, c = 18.7143 Å
α = 90.00°, β = 90.00°, γ = 120.00°
Element x y z (fractional)
K: 0.0000 0.0000 0.1456
K: 0.0000 0.0000 0.3544
K: 0.0000 0.0000 0.6456
K: 0.0000 0.0000 0.8544
K: 0.3333 0.6667 0.0489
K: 0.3333 0.6667 0.2500
K: 0.3333 0.6667 0.4511
K: 0.6667 0.3333 0.5489
K: 0.6667 0.3333 0.7500
K: 0.6667 0.3333 0.9511
P: 0.3333 0.6667 0.6225
P: 0.3333 0.6667 0.8775
P: 0.6667 0.3333 0.1225
P: 0.6667 0.3333 0.3775
Au: 0.3333 0.6667 0.7500
Au: 0.6667 0.3333 0.2500

Summary:
- Crystal system: hexagonal



Entry 2:
This record from the Materials Project describes a relaxed Li7Ti11O24 crystal. The functional is meta-GGA r2SCAN.

a = 10.2356 Å, b = 10.2356 Å, c = 8.3640 Å
α = 113.97°, β = 113.97°, γ = 33.64°
Element x y z (fractional)
Li: 0.0000 0.0000 0.0000
Li: 0.0817 0.0817 0.4583
Li: 0.2514 0.2514 0.8767
Li: 0.4161 0.4161 0.7961
Li: 0.5839 0.5839 0.2039
Li: 0.7486 0.7486 0.1233
Li: 0.9183 0.9183 0.5417
Ti: 0.0000 0.5000 0.5000
Ti: 0.1615 0.1615 0.1639
Ti: 0.1652 0.6741 0.1645
Ti: 0.3259 0.8348 0.8355
Ti: 0.3328 0.3328 0.3304
Ti: 0.5000 0.0000 0.5000
Ti: 0.5000 0.5000 0.5000
Ti: 0.6672 0.6672 0.6696
Ti: 0.6741 0.1652 0.1645
Ti: 0.8348 0.3259 0.8355
Ti: 0.8385 0.8385 0.8361
O: 0.0111 0.0111 0.7601
O: 0.0267 0.4739 0.2627
O: 0.1441 0.6787 0.9282
O: 0.1587 0.1587 0.9213
O: 0.1738 0.1738 0.4115
O: 0.1927 0.6393 0.4039
O: 0.3213 0.8559 0.0718
O: 0.3251 0.3251 0.5629
O: 0.3421 0.3421 0.1068
O: 0.3607 0.8073 0.5961
O: 0.4739 0.0267 0.2627
O: 0.4916 0.4916 0.2482
O: 0.5084 0.5084 0.7518
O: 0.5261 0.9733 0.7373
O: 0.6393 0.1927 0.4039
O: 0.6579 0.6579 0.8932
O: 0.6749 0.6749 0.4371
O: 0.6787 0.1441 0.9282
O: 0.8073 0.3607 0.5961
O: 0.8262 0.8262 0.5885
O: 0.8413 0.8413 0.0787
O: 0.8559 0.3213 0.0718
O: 0.9733 0.5261 0.7373
O: 0.9889 0.9889 0.2399

Summary:
- Crystal system: monoclinic



Entry 3:
This record from the Materials Project describes a relaxed LiPt2 crystal. The functional is meta-GGA r2SCAN.

a = 5.2166 Å, b = 5.2166 Å, c = 5.2166 Å
α = 60.00°, β = 60.00°, γ = 60.00°
Element x y z (fractional)
Li: 0.1250 0.1250 0.1250
Li: 0.8750 0.8750 0.8750
Pt: 0.0000 0.5000 0.5000
Pt: 0.5000 0.0000 0.5000
Pt: 0.5000 0.5000 0.0000
Pt: 0.5000 0.5000 0.5000

Summary:
- Crystal system: cubic



Entry 4:
This record from the Materials Project describes a relaxed Sc2PbS4 crystal. The functional is meta-GGA r2SCAN.

a = 11.7380 Å, b = 3.7741 Å, c = 13.7419 Å
α = 90.00°, β = 90.00°, γ = 90.00°
Element x y z (fractional)
Sc: 0.0573 0.2500 0.1109
Sc: 0.0823 0.2500 0.5968
Sc: 0.4177 0.7500 0.0968
Sc: 0.4427 0.7500 0.6109
Sc: 0.5573 0.2500 0.3891
Sc: 0.5823 0.2500 0.9032
Sc: 0.9177 0.7500 0.4032
Sc: 0.9427 0.7500 0.8891
Pb: 0.2403 0.2500 0.3296
Pb: 0.2597 0.7500 0.8296
Pb: 0.7403 0.2500 0.1704
Pb: 0.7597 0.7500 0.6704
S: 0.0311 0.7500 0.7157
S: 0.0876 0.2500 0.9270
S: 0.1216 0.7500 0.4713
S: 0.2030 0.7500 0.1582
S: 0.2970 0.2500 0.6582
S: 0.3784 0.2500 0.9713
S: 0.4124 0.7500 0.4270
S: 0.4689 0.2500 0.2157
S: 0.5311 0.7500 0.7843
S: 0.5876 0.2500 0.5730
S: 0.6216 0.7500 0.0287
S: 0.7030 0.7500 0.3418
S: 0.7970 0.2500 0.8418
S: 0.8784 0.2500 0.5287
S: 0.9124 0.7500 0.0730
S: 0.9689 0.2500 0.2843

Summary:
- Crystal system: orthorhombic



Entry 5:
This record from the Materials Project describes a relaxed RbV5Se8 crystal. The functional is meta-GGA r2SCAN.

a = 3.7029 Å, b = 9.0323 Å, c = 9.5144 Å
α = 104.00°, β = 100.36°, γ = 90.38°
Element x y z (fractional)
Rb: 0.0000 0.0000 0.0000
V: 0.1612 0.4884 0.3051
V: 0.2226 0.8559 0.4320
V: 0.5308 0.4961 0.0174
V: 0.7910 0.1541 0.5790
V: 0.8259 0.5231 0.6979
Se: 0.0934 0.6719 0.1526
Se: 0.2602 0.3440 0.5241
Se: 0.3382 0.0158 0.6803
Se: 0.4061 0.6786 0.8345
Se: 0.5981 0.3178 0.1799
Se: 0.6763 0.9917 0.3302
Se: 0.7435 0.6613 0.4810
Se: 0.9483 0.3415 0.8577

Summary:
- Crystal system: triclinic



Entry 6:
This record from the Materials Project describes a relaxed Na2MoO4 crystal. The functional is meta-GGA r2SCAN.

a = 7.0721 Å, b = 7.0721 Å, c = 6.0420 Å
α = 103.62°, β = 103.62°, γ = 126.65°
Element x y z (fractional)
Na: 0.0553 0.3056 0.1120
Na: 0.3056 0.0553 0.6120
Na: 0.6944 0.9447 0.3880
Na: 0.9447 0.6944 0.8880
Mo: 0.3749 0.6251 0.7500
Mo: 0.6251 0.3749 0.2500
O: 0.1900 0.2848 0.5406
O: 0.2442 0.6492 0.9595
O: 0.2848 0.1900 0.0406
O: 0.3508 0.7558 0.5405
O: 0.6492 0.2442 0.4595
O: 0.7152 0.8100 0.9594
O: 0.7558 0.3508 0.0405
O: 0.8100 0.7152 0.4594

Summary:
- Energy relative to the lowest polymorph listed for this composition: 41 meV per atom
- Crystal system: monoclinic



Entry 7:
This record from the Materials Project describes a relaxed LaIn3 crystal. The functional is meta-GGA r2SCAN.

a = 4.7741 Å, b = 4.7741 Å, c = 4.7741 Å
α = 90.00°, β = 90.00°, γ = 90.00°
Element x y z (fractional)
La: 0.0000 0.0000 0.0000
In: 0.0000 0.5000 0.5000
In: 0.5000 0.0000 0.5000
In: 0.5000 0.5000 0.0000

Summary:
- Crystal system: cubic



Entry 8:
This record from the Materials Project describes a relaxed CaCeZn2 crystal. The functional is meta-GGA r2SCAN.

a = 5.1597 Å, b = 5.1597 Å, c = 5.1597 Å
α = 60.00°, β = 60.00°, γ = 60.00°
Element x y z (fractional)
Ca: 0.0000 0.0000 0.0000
Ce: 0.5000 0.5000 0.5000
Zn: 0.2500 0.2500 0.2500
Zn: 0.7500 0.7500 0.7500

Summary:
- Crystal system: cubic



Entry 9:
This record from the Materials Project describes a relaxed SmYMg2 crystal. The functional is meta-GGA r2SCAN.

a = 5.4228 Å, b = 5.4228 Å, c = 5.4228 Å
α = 60.00°, β = 60.00°, γ = 60.00°
Element x y z (fractional)
Sm: 0.0000 0.0000 0.0000
Y: 0.5000 0.5000 0.5000
Mg: 0.2500 0.2500 0.2500
Mg: 0.7500 0.7500 0.7500

Summary:
- Crystal system: cubic



Entry 10:
This record from the Materials Project describes a relaxed Al2Ru crystal. The functional is meta-GGA r2SCAN.

a = 4.7638 Å, b = 4.7638 Å, c = 4.7638 Å
α = 141.76°, β = 141.76°, γ = 55.19°
Element x y z (fractional)
Al: 0.1592 0.1592 0.0000
Al: 0.8408 0.8408 0.0000
Ru: 0.5000 0.5000 0.0000

Summary:
- Crystal system: tetragonal



Entry 11:
This record from the Materials Project describes a relaxed Zn2CuIr crystal. The functional is meta-GGA r2SCAN.

a = 4.2085 Å, b = 4.2085 Å, c = 4.2085 Å
α = 60.00°, β = 60.00°, γ = 60.00°
Element x y z (fractional)
Zn: 0.2500 0.2500 0.2500
Zn: 0.7500 0.7500 0.7500
Cu: 0.0000 0.0000 0.0000
Ir: 0.5000 0.5000 0.5000

Summary:
- Crystal system: cubic



Entry 12:
This record from the Materials Project describes a relaxed LiBiO2 crystal. The functional is meta-GGA r2SCAN.

a = 9.7401 Å, b = 9.7401 Å, c = 4.7845 Å
α = 103.86°, β = 103.86°, γ = 31.39°
Element x y z (fractional)
Li: 0.2491 0.2496 0.4985
Li: 0.2496 0.2491 0.9985
Li: 0.7504 0.7509 0.0015
Li: 0.7509 0.7504 0.5015
Bi: 0.1532 0.6675 0.9089
Bi: 0.3325 0.8468 0.5911
Bi: 0.6675 0.1532 0.4089
Bi: 0.8468 0.3325 0.0911
O: 0.0494 0.5447 0.7958
O: 0.0757 0.7603 0.3700
O: 0.2397 0.9243 0.1300
O: 0.4553 0.9506 0.7042
O: 0.5447 0.0494 0.2958
O: 0.7603 0.0757 0.8700
O: 0.9243 0.2397 0.6300
O: 0.9506 0.4553 0.2042

Summary:
- Crystal system: monoclinic



Entry 13:
This record from the Materials Project describes a relaxed TiVP crystal. The functional is meta-GGA r2SCAN.

a = 6.3316 Å, b = 3.3479 Å, c = 7.6334 Å
α = 90.00°, β = 90.00°, γ = 90.00°
Element x y z (fractional)
Ti: 0.0435 0.2500 0.1675
Ti: 0.4565 0.7500 0.6675
Ti: 0.5435 0.2500 0.3325
Ti: 0.9565 0.7500 0.8325
V: 0.1333 0.2500 0.5590
V: 0.3667 0.7500 0.0590
V: 0.6333 0.2500 0.9410
V: 0.8667 0.7500 0.4410
P: 0.2462 0.7500 0.3599
P: 0.2538 0.2500 0.8599
P: 0.7462 0.7500 0.1401
P: 0.7538 0.2500 0.6401

Summary:
- Crystal system: orthorhombic



Entry 14:
This record from the Materials Project describes a relaxed ErMgPd2 crystal. The functional is meta-GGA r2SCAN.

a = 4.7085 Å, b = 4.7085 Å, c = 4.7085 Å
α = 60.00°, β = 60.00°, γ = 60.00°
Element x y z (fractional)
Er: 0.0000 0.0000 0.0000
Mg: 0.5000 0.5000 0.5000
Pd: 0.2500 0.2500 0.2500
Pd: 0.7500 0.7500 0.7500

Summary:
- Crystal system: cubic



Entry 15:
This record from the Materials Project describes a relaxed CeRu3C crystal. The functional is meta-GGA r2SCAN.

a = 4.1594 Å, b = 4.1594 Å, c = 4.1594 Å
α = 90.00°, β = 90.00°, γ = 90.00°
Element x y z (fractional)
Ce: 0.0000 0.0000 0.0000
Ru: 0.0000 0.5000 0.5000
Ru: 0.5000 0.0000 0.5000
Ru: 0.5000 0.5000 0.0000
C: 0.5000 0.5000 0.5000

Summary:
- Crystal system: cubic



Entry 16:
This record from the Materials Project describes a relaxed Er2MgCd crystal. The functional is meta-GGA r2SCAN.

a = 5.2523 Å, b = 5.2523 Å, c = 5.2523 Å
α = 60.00°, β = 60.00°, γ = 60.00°
Element x y z (fractional)
Er: 0.2500 0.2500 0.2500
Er: 0.7500 0.7500 0.7500
Mg: 0.0000 0.0000 0.0000
Cd: 0.5000 0.5000 0.5000

Summary:
- Crystal system: cubic



Entry 17:
This record from the Materials Project describes a relaxed Y4Ga12Pd crystal. The functional is meta-GGA r2SCAN.

a = 7.4323 Å, b = 7.4323 Å, c = 7.4323 Å
α = 109.47°, β = 109.47°, γ = 109.47°
Element x y z (fractional)
Y: 0.0000 0.0000 0.5000
Y: 0.0000 0.5000 0.0000
Y: 0.5000 0.0000 0.0000
Y: 0.5000 0.5000 0.5000
Ga: 0.0000 0.2976 0.2976
Ga: 0.0000 0.7024 0.7024
Ga: 0.2500 0.5000 0.7500
Ga: 0.2500 0.7500 0.5000
Ga: 0.2976 0.0000 0.2976
Ga: 0.2976 0.2976 0.0000
Ga: 0.5000 0.2500 0.7500
Ga: 0.5000 0.7500 0.2500
Ga: 0.7024 0.0000 0.7024
Ga: 0.7024 0.7024 0.0000
Ga: 0.7500 0.2500 0.5000
Ga: 0.7500 0.5000 0.2500
Pd: 0.0000 0.0000 0.0000

Summary:
- Crystal system: cubic



Entry 18:
This record from the Materials Project describes a relaxed Lu2AlOs crystal. The functional is meta-GGA r2SCAN.

a = 4.8092 Å, b = 4.8092 Å, c = 4.8092 Å
α = 60.00°, β = 60.00°, γ = 60.00°
Element x y z (fractional)
Lu: 0.2500 0.2500 0.2500
Lu: 0.7500 0.7500 0.7500
Al: 0.0000 0.0000 0.0000
Os: 0.5000 0.5000 0.5000

Summary:
- Crystal system: cubic



Entry 19:
This record from the Materials Project describes a relaxed Te2Au crystal. The functional is meta-GGA r2SCAN.

a = 16.8345 Å, b = 8.8720 Å, c = 4.5391 Å
α = 90.00°, β = 90.00°, γ = 90.00°
Element x y z (fractional)
Te: 0.0073 0.1997 0.3705
Te: 0.1202 0.4694 0.9167
Te: 0.1286 0.8627 0.0000
Te: 0.2500 0.1233 0.5925
Te: 0.2500 0.5229 0.5052
Te: 0.3714 0.8627 0.0000
Te: 0.3798 0.4694 0.9167
Te: 0.4927 0.1997 0.3705
Te: 0.5073 0.8003 0.3705
Te: 0.6202 0.5306 0.9167
Te: 0.6286 0.1373 0.0000
Te: 0.7500 0.4771 0.5052
Te: 0.7500 0.8767 0.5925
Te: 0.8714 0.1373 0.0000
Te: 0.8798 0.5306 0.9167
Te: 0.9927 0.8003 0.3705
Au: 0.0000 0.5000 0.4258
Au: 0.1260 0.1672 0.9674
Au: 0.2500 0.8250 0.4978
Au: 0.3740 0.1672 0.9674
Au: 0.5000 0.5000 0.4258
Au: 0.6260 0.8328 0.9674
Au: 0.7500 0.1750 0.4978
Au: 0.8740 0.8328 0.9674

Summary:
- Crystal system: orthorhombic



Entry 20:
This record from the Materials Project describes a relaxed PrSi2Ir3 crystal. The functional is meta-GGA r2SCAN.

a = 6.6963 Å, b = 6.6963 Å, c = 6.6963 Å
α = 114.95°, β = 86.07°, γ = 130.30°
Element x y z (fractional)
Pr: 0.4716 0.2216 0.2500
Pr: 0.5284 0.7784 0.7500
Si: 0.1233 0.7024 0.4210
Si: 0.2186 0.2976 0.9210
Si: 0.7814 0.7024 0.0790
Si: 0.8767 0.2976 0.5790
Ir: 0.0000 0.0000 0.5000
Ir: 0.0000 0.2202 0.2202
Ir: 0.0000 0.5000 0.0000
Ir: 0.0000 0.7798 0.7798
Ir: 0.5000 0.2202 0.7202
Ir: 0.5000 0.7798 0.2798

Summary:
- Crystal system: orthorhombic



| no. | raw total energy (eV/atom) | ΔE_f (kcal/mol of atoms) |
| --- | --- | --- |
| 1 | -12.826 | -11.3 |
| 2 | -10.290 | -71.3 |
| 3 | -35.617 | -11.4 |
| 4 | -17.629 | -40.1 |
| 5 | -15.273 | -24.6 |
| 6 | -10.386 | -51.4 |
| 7 | -24.962 | -13.7 |
| 8 | -14.164 | -5.5 |
| 9 | -14.702 | -2.4 |
| 10 | -13.724 | -17.6 |
| 11 | -20.446 | -4.4 |
| 12 | -19.835 | -37.5 |
| 13 | -13.167 | -26.7 |
| 14 | -21.837 | -19.2 |
| 15 | -23.676 | -6.1 |
| 16 | -23.247 | -5.0 |
| 17 | -14.853 | -14.9 |
| 18 | -34.420 | -10.4 |
| 19 | -33.897 | -2.1 |
| 20 | -35.034 | -23.7 |